A relaxed CdAg2I4 crystal. Source: the Materials Project, functional r²SCAN.

Output
SG: No. 121
Magnetization (μB per formula unit): 0.00
ΔE_f (eV per atom): -0.485
Density (g cm⁻³): 5.2
Total DFT energy (no corrections) (hartree per atom): -0.863

a b c (Å): 6.487 6.487 7.840
angles (deg): 114.44 114.44 90.00
Sites, in units of the cell vectors:
Cd: 0.000 0.000 0.000
Ag: 0.250 0.750 0.500
Ag: 0.750 0.250 0.500
I: 0.379 0.379 0.236
I: 0.857 0.857 0.236
I: 0.143 0.621 0.764
I: 0.621 0.143 0.764